# 1
A plane-wave DFT calculation with GGA-PBE was carried out for a relaxed structure of MgGa.

```
MgGa
1.0
1.591 -7.619 0.000
1.591 7.619 0.000
0.000 0.000 4.995
Ga Mg
3 3
direct
0.111 0.889 0.500 Ga
0.779 0.221 0.500 Ga
0.332 0.668 0.000 Ga
0.673 0.327 0.000 Mg
0.441 0.559 0.500 Mg
0.997 0.003 0.000 Mg
```

Summary:
SG = Amm2 (38)
crystal system = orthorhombic
calculated formation energy = -0.0653 eV per atom
ρ = 3.9 g/cm³

# 2
A plane-wave DFT calculation with GGA-PBE was carried out for a relaxed structure of MgGa.

```
MgGa
1.0
3.656 4.636 -4.982
-5.672 -4.603 2.516
-2.351 3.977 1.975
Ga Mg
3 3
direct
0.331 0.669 0.000 Ga
0.442 0.558 0.500 Ga
0.784 0.216 0.500 Ga
0.111 0.889 0.500 Mg
0.990 0.010 0.000 Mg
0.676 0.324 0.000 Mg
```

Summary:
SG = Amm2 (38)
crystal system = orthorhombic
calculated formation energy = -0.0440 eV per atom
ρ = 3.9 g/cm³

# 3
A plane-wave DFT calculation with GGA-PBE was carried out for a relaxed structure of MgGa3.

```
MgGa3
1.0
0.000 3.411 3.411
3.411 0.000 3.411
3.411 3.411 0.000
Ga Mg
3 1
direct
0.750 0.750 0.750 Ga
0.250 0.250 0.250 Ga
0.000 0.000 0.000 Ga
0.500 0.500 0.500 Mg
```

Summary:
SG = Fm-3m (225)
crystal system = cubic
calculated formation energy = -0.0281 eV per atom
ρ = 4.9 g/cm³

# 4
A plane-wave DFT calculation with GGA-PBE was carried out for a relaxed structure of Mg2Ga.

```
Mg2Ga
1.0
3.479 -3.050 3.694
4.880 -3.218 0.939
4.679 5.074 2.070
Ga Mg
2 4
direct
0.937 0.937 0.618 Ga
0.616 0.616 0.276 Ga
0.337 0.337 0.340 Mg
0.280 0.280 0.941 Mg
0.659 0.659 0.655 Mg
0.005 0.005 0.004 Mg
```

Summary:
SG = Cm (8)
crystal system = monoclinic
calculated formation energy = -0.0605 eV per atom
ρ = 3.2 g/cm³

# 5
A plane-wave DFT calculation with GGA-PBE was carried out for a relaxed structure of MgGa2.

```
MgGa2
1.0
-4.961 5.181 -2.088
2.342 -6.919 1.571
-1.366 0.629 4.805
Mg Ga
2 4
direct
0.282 0.718 0.250 Mg
0.718 0.282 0.750 Mg
0.052 0.948 0.750 Ga
0.606 0.394 0.250 Ga
0.394 0.606 0.750 Ga
0.948 0.052 0.250 Ga
```

Summary:
SG = Cmcm (63)
crystal system = orthorhombic
calculated formation energy = -0.0168 eV per atom
ρ = 4.6 g/cm³

# 6
A plane-wave DFT calculation with GGA-PBE was carried out for a relaxed structure of MgGa5.

```
MgGa5
1.0
1.532 -2.653 0.000
1.532 2.653 0.000
0.000 0.000 14.136
Ga Mg
5 1
direct
0.667 0.333 0.500 Ga
0.000 0.000 0.667 Ga
0.000 0.000 0.333 Ga
0.667 0.333 0.833 Ga
0.667 0.333 0.167 Ga
0.000 0.000 0.000 Mg
```

Summary:
SG = P-6m2 (187)
crystal system = hexagonal
calculated formation energy = 0.0099 eV per atom
ρ = 5.4 g/cm³

# 7
A plane-wave DFT calculation with GGA-PBE was carried out for a relaxed structure of MgGa2.

```
MgGa2
1.0
0.513 2.230 -2.037
-2.371 0.203 1.928
8.557 6.974 9.791
Ga Mg
4 2
direct
0.667 0.333 0.670 Ga
0.667 0.333 0.330 Ga
0.667 0.333 0.000 Ga
0.000 0.000 0.500 Ga
0.000 0.000 0.166 Mg
0.000 0.000 0.834 Mg
```

Summary:
SG = P-6m2 (187)
crystal system = hexagonal
calculated formation energy = -0.0247 eV per atom
ρ = 4.5 g/cm³

# 8
A plane-wave DFT calculation with GGA-PBE was carried out for a relaxed structure of MgGa.

```
MgGa
1.0
-2.664 -1.782 -0.057
2.533 -0.959 1.715
-3.184 4.526 7.234
Mg Ga
2 2
direct
0.667 0.333 0.362 Mg
0.333 0.667 0.638 Mg
0.333 0.667 0.113 Ga
0.667 0.333 0.887 Ga
```

Summary:
SG = P-3m1 (164)
crystal system = trigonal
calculated formation energy = -0.0281 eV per atom
ρ = 3.9 g/cm³

ρ of number 5 (MgGa2)? 4.6 g/cm³